(1)
PBE ZnCuAs, relaxed; energy of formation = -0.005 eV/atom
1.0
4.180 0.000 0.000
0.000 5.585 0.000
0.000 0.000 8.773
Zn Cu As
4 4 4
direct
0.775 0.031 0.847 Zn
0.275 0.531 0.653 Zn
0.725 0.031 0.347 Zn
0.225 0.531 0.153 Zn
0.276 0.022 0.650 Cu
0.724 0.522 0.350 Cu
0.224 0.022 0.150 Cu
0.776 0.522 0.850 Cu
0.271 0.779 0.901 As
0.771 0.279 0.599 As
0.229 0.779 0.401 As
0.729 0.279 0.099 As



(2)
PBE DyZn3P3, relaxed; energy of formation = -0.606 eV/atom
1.0
-0.078 3.389 2.137
-3.217 -2.388 -0.088
6.855 -9.818 15.818
Dy Zn P
2 6 6
direct
0.000 0.000 0.000 Dy
0.000 0.000 0.500 Dy
0.333 0.667 0.750 Zn
0.667 0.333 0.250 Zn
0.333 0.667 0.128 Zn
0.667 0.333 0.872 Zn
0.667 0.333 0.628 Zn
0.333 0.667 0.372 Zn
0.333 0.667 0.584 P
0.667 0.333 0.416 P
0.667 0.333 0.084 P
0.333 0.667 0.916 P
0.333 0.667 0.250 P
0.667 0.333 0.750 P



(3)
PBE MgTi6H4O14, relaxed; energy of formation = -2.792 eV/atom; distance to the lowest polymorph of the same formula = 122.8 kJ/mol of formula units
1.0
8.076 2.125 -1.685
-7.985 1.704 1.685
-0.018 -0.011 9.629
Mg Ti H O
1 6 4 14
direct
0.742 0.330 0.021 Mg
0.797 0.242 0.775 Ti
0.262 0.800 0.241 Ti
0.843 0.176 0.491 Ti
0.214 0.866 0.521 Ti
0.880 0.129 0.186 Ti
0.179 0.926 0.799 Ti
0.684 0.673 0.129 H
0.035 0.926 0.226 H
0.053 0.045 0.949 H
0.008 0.098 0.780 H
0.831 0.190 0.964 O
0.216 0.869 0.037 O
0.878 0.134 0.685 O
0.176 0.909 0.319 O
0.906 0.080 0.392 O
0.145 0.976 0.601 O
0.928 0.929 0.147 O
0.096 0.074 0.851 O
0.699 0.395 0.819 O
0.357 0.650 0.181 O
0.743 0.322 0.543 O
0.312 0.722 0.451 O
0.779 0.270 0.233 O
0.271 0.783 0.738 O



(4)
PBE NaAl2In2PS5O24, relaxed; energy of formation = -2.221 eV/atom
1.0
-2.235 -1.436 8.131
8.272 0.565 -2.102
-0.543 22.229 3.693
Na Al In P S O
3 6 6 3 15 72
direct
0.999 0.988 0.996 Na
0.653 0.331 0.834 Na
0.675 0.331 0.338 Na
0.997 0.004 0.357 Al
0.001 0.000 0.642 Al
0.666 0.333 0.677 Al
0.667 0.334 0.484 Al
0.333 0.667 0.519 Al
0.329 0.661 0.319 Al
0.000 0.993 0.847 In
0.000 0.006 0.157 In
0.673 0.334 0.193 In
0.661 0.335 0.979 In
0.339 0.672 0.018 In
0.340 0.673 0.807 In
0.010 0.298 0.261 P
0.631 0.667 0.913 P
0.333 0.963 0.913 P
0.285 0.987 0.261 S
0.700 0.712 0.261 S
0.298 0.286 0.739 S
0.986 0.698 0.739 S
0.718 0.016 0.739 S
0.956 0.335 0.580 S
0.378 0.044 0.580 S
0.665 0.622 0.580 S
0.966 0.635 0.086 S
0.670 0.036 0.086 S
0.366 0.332 0.087 S
0.039 0.371 0.914 S
0.619 0.954 0.420 S
0.337 0.380 0.420 S
0.044 0.667 0.420 S
0.190 0.014 0.311 O
0.828 0.803 0.311 O
0.976 0.166 0.312 O
0.233 0.183 0.795 O
0.947 0.761 0.795 O
0.820 0.053 0.795 O
0.815 0.993 0.688 O
0.179 0.188 0.688 O
0.012 0.822 0.689 O
0.767 0.804 0.204 O
0.040 0.231 0.201 O
0.188 0.953 0.204 O
0.874 0.373 0.632 O
0.499 0.125 0.632 O
0.625 0.500 0.632 O
0.879 0.537 0.141 O
0.660 0.124 0.141 O
0.468 0.345 0.142 O
0.450 0.310 0.033 O
0.858 0.552 0.032 O
0.692 0.143 0.032 O
0.459 0.165 0.528 O
0.706 0.541 0.528 O
0.835 0.294 0.527 O
0.546 0.673 0.972 O
0.135 0.450 0.970 O
0.305 0.857 0.971 O
0.537 0.840 0.473 O
0.302 0.462 0.473 O
0.159 0.700 0.473 O
0.125 0.629 0.368 O
0.499 0.873 0.368 O
0.378 0.501 0.368 O
0.123 0.473 0.859 O
0.338 0.876 0.855 O
0.523 0.639 0.856 O
0.022 0.826 0.410 O
0.798 0.972 0.410 O
0.180 0.200 0.410 O
0.023 0.192 0.911 O
0.172 0.997 0.912 O
0.809 0.846 0.911 O
0.979 0.176 0.591 O
0.197 0.022 0.591 O
0.823 0.802 0.591 O
0.986 0.818 0.089 O
0.831 0.015 0.087 O
0.187 0.166 0.089 O
0.697 0.177 0.729 O
0.481 0.307 0.730 O
0.824 0.518 0.728 O
0.673 0.527 0.258 O
0.838 0.318 0.258 O
0.464 0.155 0.257 O
0.668 0.508 0.914 O
0.859 0.353 0.915 O
0.510 0.144 0.915 O
0.639 0.138 0.429 O
0.501 0.361 0.430 O
0.861 0.503 0.429 O
0.347 0.492 0.085 O
0.143 0.647 0.083 O
0.506 0.860 0.084 O
0.361 0.865 0.569 O
0.504 0.640 0.569 O
0.135 0.496 0.569 O
0.310 0.832 0.272 O
0.527 0.704 0.272 O
0.175 0.481 0.273 O
0.311 0.463 0.743 O
0.147 0.679 0.743 O
0.540 0.853 0.742 O



(5)
PBE K3LuF6, relaxed; energy of formation = -3.637 eV/atom
1.0
-2.470 5.179 3.179
-4.338 0.737 -4.570
-9.990 -4.753 -0.019
K Lu F
6 2 12
direct
0.500 0.500 0.000 K
0.000 0.500 0.500 K
0.050 0.735 0.753 K
0.950 0.265 0.247 K
0.550 0.265 0.747 K
0.450 0.735 0.253 K
0.500 0.000 0.500 Lu
0.000 0.000 0.000 Lu
0.769 0.770 0.563 F
0.231 0.230 0.437 F
0.269 0.230 0.937 F
0.731 0.770 0.063 F
0.452 0.883 0.721 F
0.548 0.117 0.279 F
0.952 0.117 0.779 F
0.048 0.883 0.221 F
0.326 0.680 0.546 F
0.674 0.320 0.454 F
0.826 0.320 0.954 F
0.174 0.680 0.046 F



(6)
PBE CdP2, relaxed; energy of formation = -0.122 eV/atom
1.0
-1.492 -3.295 -3.960
4.824 0.555 -2.278
6.752 -15.658 10.482
Cd P
8 16
direct
0.374 0.847 0.452 Cd
0.626 0.153 0.952 Cd
0.847 0.374 0.548 Cd
0.347 0.126 0.202 Cd
0.653 0.874 0.702 Cd
0.126 0.347 0.798 Cd
0.874 0.653 0.298 Cd
0.153 0.626 0.048 Cd
0.020 0.024 0.374 P
0.980 0.976 0.874 P
0.024 0.020 0.626 P
0.524 0.480 0.124 P
0.476 0.520 0.624 P
0.480 0.524 0.876 P
0.520 0.476 0.376 P
0.976 0.980 0.126 P
0.807 0.286 0.065 P
0.214 0.307 0.315 P
0.786 0.693 0.815 P
0.307 0.214 0.685 P
0.693 0.786 0.185 P
0.193 0.714 0.565 P
0.286 0.807 0.935 P
0.714 0.193 0.435 P



(7)
PBE Eu3Tc, relaxed; energy of formation = 0.451 eV/atom
1.0
0.000 3.847 3.847
3.847 0.000 3.847
3.847 3.847 0.000
Eu Tc
3 1
direct
0.000 0.000 0.000 Eu
0.500 0.500 0.500 Eu
0.250 0.250 0.250 Eu
0.750 0.750 0.750 Tc



(8)
PBE ThCo5, relaxed; energy of formation = -0.144 eV/atom
1.0
2.471 -4.279 0.000
2.471 4.279 0.000
0.000 0.000 4.020
Th Co
1 5
direct
0.000 0.000 0.000 Th
0.333 0.667 0.000 Co
0.667 0.333 0.000 Co
0.500 0.000 0.500 Co
0.500 0.500 0.500 Co
0.000 0.500 0.500 Co



(9)
PBE ThRu3C, relaxed; energy of formation = -0.290 eV/atom
1.0
4.232 0.000 0.000
0.000 4.232 0.000
0.000 0.000 4.232
Th Ru C
1 3 1
direct
0.000 0.000 0.000 Th
0.000 0.500 0.500 Ru
0.500 0.500 0.000 Ru
0.500 0.000 0.500 Ru
0.500 0.500 0.500 C



(10)
PBE BaYF5, relaxed; energy of formation = -4.278 eV/atom; distance to the lowest polymorph of the same formula = 42.4 kJ/mol of formula units
1.0
1.602 -2.369 5.747
1.664 4.881 3.822
-6.290 1.593 5.799
Ba Y F
2 2 10
direct
0.542 0.458 0.250 Ba
0.458 0.542 0.750 Ba
0.000 0.000 0.000 Y
0.000 0.000 0.500 Y
0.795 0.750 0.119 F
0.280 0.697 0.473 F
0.750 0.795 0.619 F
0.926 0.074 0.250 F
0.303 0.720 0.027 F
0.697 0.280 0.973 F
0.074 0.926 0.750 F
0.250 0.205 0.381 F
0.720 0.303 0.527 F
0.205 0.250 0.881 F



(11)
PBE Na2Cu3Ge4O12, relaxed; energy of formation = -1.767 eV/atom
1.0
5.556 0.000 0.000
0.092 6.528 0.000
1.673 0.198 7.586
Na Cu Ge O
2 3 4 12
direct
0.083 0.255 0.607 Na
0.917 0.745 0.393 Na
0.502 0.174 0.815 Cu
0.498 0.826 0.185 Cu
0.000 0.000 0.000 Cu
0.246 0.391 0.183 Ge
0.754 0.609 0.817 Ge
0.692 0.215 0.371 Ge
0.308 0.785 0.629 Ge
0.700 0.125 0.583 O
0.300 0.875 0.417 O
0.285 0.642 0.101 O
0.715 0.358 0.899 O
0.262 0.181 0.041 O
0.738 0.819 0.959 O
0.414 0.346 0.357 O
0.586 0.654 0.643 O
0.936 0.398 0.317 O
0.234 0.995 0.774 O
0.766 0.005 0.226 O
0.064 0.602 0.683 O



(12)
PBE TaCo4Mo, relaxed; energy of formation = -0.102 eV/atom
1.0
2.361 -4.089 0.000
2.361 4.089 0.000
0.000 0.000 7.701
Ta Co Mo
2 8 2
direct
0.667 0.333 0.924 Ta
0.333 0.667 0.076 Ta
0.000 0.000 0.500 Co
0.000 0.000 0.000 Co
0.831 0.169 0.251 Co
0.831 0.662 0.251 Co
0.338 0.169 0.251 Co
0.169 0.831 0.749 Co
0.169 0.338 0.749 Co
0.662 0.831 0.749 Co
0.333 0.667 0.444 Mo
0.667 0.333 0.556 Mo



> Which of these has the highest energy of formation?

Eu3Tc



> Which value of energy of formation does entry 11 give?

-1.767 eV/atom



> Which value of energy of formation does entry 4 give?

-2.221 eV/atom



> What is the formula in the second record?

DyZn3P3